Record 1
# PBE-GGA CaAl2H4Pb2O4F6, relaxed
data_CaAl2H4Pb2O4F6
_symmetry_space_group_name_H-M 'P 1'
_symmetry_Int_Tables_number 1
_cell_length_a 6.151
_cell_length_b 6.253
_cell_length_c 7.610
_cell_angle_alpha 66.33
_cell_angle_beta 80.87
_cell_angle_gamma 72.84
loop_
_symmetry_equiv_pos_as_xyz
'x,y,z'
loop_
_atom_site_label
_atom_site_type_symbol
_atom_site_fract_x
_atom_site_fract_y
_atom_site_fract_z
_atom_site_occupancy
Ca1 Ca 0.000 0.000 0.000 1
Al1 Al 0.337 0.010 0.261 1
Al2 Al 0.576 0.891 0.923 1
H1 H 0.341 0.113 0.640 1
H2 H 0.388 0.613 0.208 1
H3 H 0.519 0.277 0.988 1
H4 H 0.539 0.771 0.564 1
Pb1 Pb 0.103 0.572 0.682 1
Pb2 Pb 0.823 0.403 0.441 1
O1 O 0.331 0.104 0.773 1
O2 O 0.362 0.784 0.127 1
O3 O 0.508 0.747 0.452 1
O4 O 0.572 0.104 0.063 1
F1 F 0.068 0.924 0.373 1
F2 F 0.134 0.245 0.074 1
F3 F 0.315 0.221 0.370 1
F4 F 0.632 0.663 0.825 1
F5 F 0.796 0.034 0.757 1
F6 F 0.826 0.699 0.085 1
# - VASP energy (Ry per atom) = -0.4010
# - mass density (g cm⁻³) = 4.481
# - energy relative to the elements (eV per formula unit) = -47.42
# - energy above the most stable polymorph in this dataset (meV per atom) = 19



Record 2
# PBE-GGA CaAl2H4Pb2O4F6, relaxed
data_CaAl2H4Pb2O4F6
_symmetry_space_group_name_H-M 'P -1'
_symmetry_Int_Tables_number 2
_cell_length_a 5.138
_cell_length_b 7.735
_cell_length_c 7.961
_cell_angle_alpha 117.90
_cell_angle_beta 96.38
_cell_angle_gamma 97.84
loop_
_symmetry_equiv_pos_as_xyz
'x,y,z'
'-x,-y,-z'
loop_
_atom_site_label
_atom_site_type_symbol
_atom_site_fract_x
_atom_site_fract_y
_atom_site_fract_z
_atom_site_occupancy
Ca1 Ca 0.000 0.000 0.000 1
Al1 Al 0.478 0.701 0.644 1
H1 H 0.120 0.367 0.250 1
H2 H 0.134 0.365 0.541 1
Pb1 Pb 0.300 0.608 0.121 1
O1 O 0.258 0.325 0.172 1
O2 O 0.318 0.425 0.547 1
F1 F 0.237 0.725 0.472 1
F2 F 0.273 0.794 0.827 1
F3 F 0.309 0.047 0.260 1
# - VASP energy (Ry per atom) = -0.4024
# - mass density (g cm⁻³) = 4.224
# - energy relative to the elements (eV per formula unit) = -47.77
# - energy above the most stable polymorph in this dataset (meV per atom) = 1



Record 3
# PBE-GGA CaAl2H4Pb2O4F6, relaxed
data_CaAl2H4Pb2O4F6
_symmetry_space_group_name_H-M 'P -1'
_symmetry_Int_Tables_number 2
_cell_length_a 4.746
_cell_length_b 7.582
_cell_length_c 7.813
_cell_angle_alpha 110.83
_cell_angle_beta 94.94
_cell_angle_gamma 94.50
loop_
_symmetry_equiv_pos_as_xyz
'x,y,z'
'-x,-y,-z'
loop_
_atom_site_label
_atom_site_type_symbol
_atom_site_fract_x
_atom_site_fract_y
_atom_site_fract_z
_atom_site_occupancy
Ca1 Ca 0.000 0.000 0.000 1
Al1 Al 0.372 0.331 0.348 1
H1 H 0.140 0.495 0.650 1
H2 H 0.240 0.834 0.595 1
Pb1 Pb 0.443 0.784 0.254 1
O1 O 0.319 0.481 0.594 1
O2 O 0.441 0.845 0.571 1
F1 F 0.043 0.168 0.304 1
F2 F 0.158 0.470 0.245 1
F3 F 0.438 0.184 0.108 1
# - VASP energy (Ry per atom) = -0.3989
# - mass density (g cm⁻³) = 4.410
# - energy relative to the elements (eV per formula unit) = -46.86
# - energy above the most stable polymorph in this dataset (meV per atom) = 49



Record 4
# PBE-GGA CaAl2H4Pb2O4F6, relaxed
data_CaAl2H4Pb2O4F6
_symmetry_space_group_name_H-M 'P -1'
_symmetry_Int_Tables_number 2
_cell_length_a 5.415
_cell_length_b 6.522
_cell_length_c 7.717
_cell_angle_alpha 65.83
_cell_angle_beta 85.18
_cell_angle_gamma 76.94
loop_
_symmetry_equiv_pos_as_xyz
'x,y,z'
'-x,-y,-z'
loop_
_atom_site_label
_atom_site_type_symbol
_atom_site_fract_x
_atom_site_fract_y
_atom_site_fract_z
_atom_site_occupancy
Ca1 Ca 0.000 0.000 0.000 1
Al1 Al 0.171 0.317 0.153 1
H1 H 0.069 0.755 0.562 1
H2 H 0.294 0.654 0.898 1
Pb1 Pb 0.342 0.304 0.605 1
O1 O 0.001 0.621 0.644 1
O2 O 0.145 0.634 0.984 1
F1 F 0.152 0.006 0.278 1
F2 F 0.330 0.224 0.969 1
F3 F 0.472 0.282 0.256 1
# - VASP energy (Ry per atom) = -0.4025
# - mass density (g cm⁻³) = 4.733
# - energy relative to the elements (eV per formula unit) = -47.79
# - energy above the most stable polymorph in this dataset (meV per atom) = 0



Record 5
# PBE-GGA CaAl2H4Pb2O4F6, relaxed
data_CaAl2H4Pb2O4F6
_symmetry_space_group_name_H-M 'P 1'
_symmetry_Int_Tables_number 1
_cell_length_a 4.984
_cell_length_b 7.763
_cell_length_c 8.145
_cell_angle_alpha 61.58
_cell_angle_beta 76.27
_cell_angle_gamma 88.60
loop_
_symmetry_equiv_pos_as_xyz
'x,y,z'
loop_
_atom_site_label
_atom_site_type_symbol
_atom_site_fract_x
_atom_site_fract_y
_atom_site_fract_z
_atom_site_occupancy
Ca1 Ca 0.000 0.000 0.000 1
Al1 Al 0.555 0.134 0.650 1
Al2 Al 0.879 0.130 0.302 1
H1 H 0.004 0.978 0.628 1
H2 H 0.376 0.236 0.339 1
H3 H 0.485 0.948 0.298 1
H4 H 0.939 0.421 0.537 1
Pb1 Pb 0.425 0.598 0.661 1
Pb2 Pb 0.549 0.591 0.271 1
O1 O 0.546 0.230 0.387 1
O2 O 0.663 0.903 0.330 1
O3 O 0.737 0.396 0.562 1
O4 O 0.847 0.015 0.570 1
F1 F 0.120 0.330 0.253 1
F2 F 0.176 0.004 0.240 1
F3 F 0.248 0.247 0.721 1
F4 F 0.278 0.922 0.749 1
F5 F 0.606 0.029 0.893 1
F6 F 0.870 0.254 0.049 1
# - VASP energy (Ry per atom) = -0.3999
# - mass density (g cm⁻³) = 4.281
# - energy relative to the elements (eV per formula unit) = -47.12
# - energy above the most stable polymorph in this dataset (meV per atom) = 35



Record 6
# PBE-GGA LiCaAlF6, relaxed
data_LiCaAlF6
_symmetry_space_group_name_H-M 'P -3 1 c'
_symmetry_Int_Tables_number 163
_symmetry_space_group_name_Hall '-P 3 2c'
_cell_length_a 5.0832
_cell_length_b 5.0832
_cell_length_c 9.7496
_cell_angle_alpha 90.00
_cell_angle_beta 90.00
_cell_angle_gamma 120.00
loop_
_atom_site_label
_atom_site_type_symbol
_atom_site_fract_x
_atom_site_fract_y
_atom_site_fract_z
_atom_site_occupancy
Li1 Li 0.3333 0.6667 0.2500 1
Ca1 Ca 0.0000 0.0000 0.0000 1
Al1 Al 0.3333 0.6667 0.7500 1
F1 F 0.0313 0.3758 0.6431 1
# - VASP energy (Ry per atom) = -0.4182
# - mass density (g cm⁻³) = 2.862
# - energy relative to the elements (eV per formula unit) = -34.83



Record 7
# PBE-GGA Ca2Al3O6F, relaxed
data_Ca2Al3O6F
_symmetry_space_group_name_H-M 'P -1'
_symmetry_Int_Tables_number 2
_cell_length_a 7.098
_cell_length_b 10.329
_cell_length_c 10.365
_cell_angle_alpha 114.93
_cell_angle_beta 103.20
_cell_angle_gamma 102.94
loop_
_symmetry_equiv_pos_as_xyz
'x,y,z'
'-x,-y,-z'
loop_
_atom_site_label
_atom_site_type_symbol
_atom_site_fract_x
_atom_site_fract_y
_atom_site_fract_z
_atom_site_occupancy
Ca1 Ca 0.165 0.369 0.404 1
Ca2 Ca 0.193 0.970 0.351 1
Ca3 Ca 0.219 0.003 0.999 1
Ca4 Ca 0.240 0.402 0.030 1
Al1 Al 0.008 0.457 0.762 1
Al2 Al 0.245 0.237 0.693 1
Al3 Al 0.337 0.681 0.727 1
Al4 Al 0.344 0.952 0.679 1
Al5 Al 0.391 0.729 0.047 1
Al6 Al 0.445 0.691 0.453 1
O1 O 0.034 0.284 0.740 1
O2 O 0.110 0.517 0.649 1
O3 O 0.138 0.593 0.958 1
O4 O 0.173 0.041 0.637 1
O5 O 0.239 0.831 0.746 1
O6 O 0.246 0.538 0.282 1
O7 O 0.298 0.260 0.545 1
O8 O 0.405 0.866 0.515 1
O9 O 0.407 0.917 0.172 1
O10 O 0.450 0.628 0.588 1
O11 O 0.461 0.350 0.867 1
O12 O 0.493 0.256 0.086 1
F1 F 0.046 0.153 0.951 1
F2 F 0.136 0.133 0.209 1
# - VASP energy (Ry per atom) = -0.5194
# - mass density (g cm⁻³) = 2.933
# - energy relative to the elements (eV per formula unit) = -42.53



Record 8
# PBE-GGA Ca6Al7O16F, relaxed
data_Ca6Al7O16F
_symmetry_space_group_name_H-M 'I -4 2 d'
_symmetry_Int_Tables_number 122
_symmetry_space_group_name_Hall 'I -4 2bw'
_cell_length_a 12.174
_cell_length_b 12.174
_cell_length_c 11.877
_cell_angle_alpha 90.00
_cell_angle_beta 90.00
_cell_angle_gamma 90.00
loop_
_atom_site_label
_atom_site_type_symbol
_atom_site_fract_x
_atom_site_fract_y
_atom_site_fract_z
_atom_site_occupancy
Ca1 Ca 0.000 0.000 0.195 1
Ca2 Ca 0.112 0.750 0.625 1
Ca3 Ca 0.134 0.250 0.125 1
Al1 Al 0.000 0.000 0.500 1
Al2 Al 0.017 0.228 0.358 1
Al3 Al 0.127 0.750 0.125 1
O1 O 0.036 0.692 0.026 1
O2 O 0.060 0.100 0.414 1
O3 O 0.068 0.688 0.440 1
O4 O 0.149 0.217 0.929 1
F1 F 0.000 0.000 0.000 1
# - VASP energy (Ry per atom) = -0.5215
# - mass density (g cm⁻³) = 2.658
# - energy relative to the elements (eV per formula unit) = -104.96



Record 9
# PBE-GGA Ca3Ti2AlSi3O14F, relaxed
data_Ca3Ti2AlSi3O14F
_symmetry_space_group_name_H-M 'P -1'
_symmetry_Int_Tables_number 2
_cell_length_a 5.464
_cell_length_b 7.105
_cell_length_c 14.959
_cell_angle_alpha 83.74
_cell_angle_beta 87.22
_cell_angle_gamma 75.57
loop_
_symmetry_equiv_pos_as_xyz
'x,y,z'
'-x,-y,-z'
loop_
_atom_site_label
_atom_site_type_symbol
_atom_site_fract_x
_atom_site_fract_y
_atom_site_fract_z
_atom_site_occupancy
Ca1 Ca 0.053 0.362 0.390 1
Ca2 Ca 0.273 0.308 0.942 1
Ca3 Ca 0.393 0.027 0.720 1
Ti1 Ti 0.166 0.834 0.169 1
Ti2 Ti 0.167 0.333 0.168 1
Al1 Al 0.500 0.000 0.500 1
Al2 Al 0.500 0.500 0.500 1
Si1 Si 0.078 0.856 0.399 1
Si2 Si 0.258 0.810 0.939 1
Si3 Si 0.412 0.521 0.722 1
O1 O 0.047 0.802 0.296 1
O2 O 0.049 0.678 0.937 1
O3 O 0.073 0.608 0.146 1
O4 O 0.131 0.659 0.747 1
O5 O 0.164 0.648 0.465 1
O6 O 0.185 0.011 0.869 1
O7 O 0.211 0.018 0.578 1
O8 O 0.262 0.062 0.191 1
O9 O 0.289 0.988 0.402 1
O10 O 0.291 0.868 0.041 1
O11 O 0.379 0.347 0.275 1
O12 O 0.380 0.469 0.620 1
O13 O 0.461 0.329 0.084 1
O14 O 0.481 0.320 0.792 1
F1 F 0.412 0.273 0.476 1
# - VASP energy (Ry per atom) = -0.5723
# - mass density (g cm⁻³) = 3.388
# - energy relative to the elements (eV per formula unit) = -83.94



Record 10
# PBE-GGA Sr2CaAlO4F, relaxed
data_Sr2CaAlO4F
_symmetry_space_group_name_H-M 'F m m m'
_symmetry_Int_Tables_number 69
_symmetry_space_group_name_Hall '-F 2 2'
_cell_length_a 9.369
_cell_length_b 9.622
_cell_length_c 11.090
_cell_angle_alpha 90.00
_cell_angle_beta 90.00
_cell_angle_gamma 90.00
loop_
_atom_site_label
_atom_site_type_symbol
_atom_site_fract_x
_atom_site_fract_y
_atom_site_fract_z
_atom_site_occupancy
Sr1 Sr 0.000 0.168 0.000 1
Sr2 Sr 0.250 0.250 0.250 1
Ca1 Ca 0.170 0.000 0.500 1
Al1 Al 0.000 0.000 0.250 1
O1 O 0.000 0.140 0.354 1
O2 O 0.147 0.000 0.145 1
F1 F 0.250 0.250 0.000 1
# - VASP energy (Ry per atom) = -0.4789
# - mass density (g cm⁻³) = 4.322
# - energy relative to the elements (eV per formula unit) = -31.02



Record 11
# PBE-GGA Ca3Al2Ge3, relaxed
data_Ca3Al2Ge3
_symmetry_space_group_name_H-M 'P n m a'
_symmetry_Int_Tables_number 62
_cell_length_a 11.439
_cell_length_b 4.369
_cell_length_c 14.841
_cell_angle_alpha 90.00
_cell_angle_beta 90.00
_cell_angle_gamma 90.00
loop_
_symmetry_equiv_pos_as_xyz
'x,y,z'
'-x,-y,-z'
'-x+1/2,-y,z+1/2'
'x+1/2,y,-z+1/2'
'x+1/2,-y+1/2,-z+1/2'
'-x+1/2,y+1/2,z+1/2'
'-x,y+1/2,-z'
'x,-y+1/2,z'
loop_
_atom_site_label
_atom_site_type_symbol
_atom_site_fract_x
_atom_site_fract_y
_atom_site_fract_z
_atom_site_occupancy
Ca1 Ca 0.105 0.250 0.062 1
Ca2 Ca 0.106 0.750 0.434 1
Ca3 Ca 0.123 0.250 0.797 1
Al1 Al 0.143 0.250 0.291 1
Al2 Al 0.184 0.250 0.588 1
Ge1 Ge 0.071 0.750 0.639 1
Ge2 Ge 0.140 0.750 0.200 1
Ge3 Ge 0.199 0.750 0.934 1
# - VASP energy (Ry per atom) = -0.2907
# - mass density (g cm⁻³) = 3.511
# - energy relative to the elements (eV per formula unit) = -4.26



Record 12
# PBE-GGA CaAl2Ge2, relaxed
data_CaAl2Ge2
_symmetry_space_group_name_H-M 'P -3 m 1'
_symmetry_Int_Tables_number 164
_symmetry_space_group_name_Hall '-P 3 2"'
_cell_length_a 4.2045
_cell_length_b 4.2045
_cell_length_c 7.1758
_cell_angle_alpha 90.00
_cell_angle_beta 90.00
_cell_angle_gamma 120.00
loop_
_atom_site_label
_atom_site_type_symbol
_atom_site_fract_x
_atom_site_fract_y
_atom_site_fract_z
_atom_site_occupancy
Ca1 Ca 0.0000 0.0000 0.0000 1
Al1 Al 0.3333 0.6667 0.3715 1
Ge1 Ge 0.3333 0.6667 0.7406 1
# - VASP energy (Ry per atom) = -0.3042
# - mass density (g cm⁻³) = 3.617
# - energy relative to the elements (eV per formula unit) = -1.95



Look up the mass density of the sixth one. 2.862 g cm⁻³



Look up the mass density of the seventh one. 2.933 g cm⁻³



Among the records above, which one has the highest mass density? number 4